The following is a DFT calculation (GGA-PBE) of La2CO5 after structural relaxation.

Results
Crystal system: orthorhombic
Formation energy from the elements, eV per atom: -3.26
Relative energy among the computed polymorphs, meV/atom: 20.8
Raw total energy, eV for the cell shown: -132.9

Lattice parameters (Å, degrees): 4.0996 4.0996 15.9805 90.00 90.00 119.24
Atoms (fractional coordinates):
O  0.9637  0.9812  0.3218
O  0.6655  0.3308  0.5569
O  0.9812  0.9637  0.8218
O  0.3308  0.6655  0.0569
O  0.9812  0.9637  0.6782
O  0.6655  0.3308  0.9431
O  0.4953  0.2495  0.2500
O  0.9637  0.9812  0.1782
O  0.2495  0.4953  0.7500
O  0.3308  0.6655  0.4431
C  0.1351  0.0676  0.2500
C  0.0676  0.1351  0.7500
La  0.6653  0.3325  0.0947
La  0.3325  0.6653  0.5947
La  0.3325  0.6653  0.9053
La  0.6653  0.3325  0.4053